NaYTiP2SO12, relaxed, DFT PBE-GGA; E_form = -2.86 eV per atom; E_tot = -7.40 eV per atom
1.0
8.882 0.000 0.000
-4.441 7.766 0.092
0.000 0.272 23.018
Na O S Ti Y P
6 72 6 6 6 12
direct
0.651 0.325 0.830
0.318 0.658 0.164
0.984 0.991 0.497
0.341 0.658 0.664
0.674 0.325 0.330
0.007 0.991 0.997
0.711 0.528 0.247
0.489 0.120 0.636
0.461 0.331 0.423
0.789 0.799 0.197
0.381 0.528 0.077
0.966 0.165 0.305
0.151 0.195 0.413
0.865 0.498 0.138
0.865 0.367 0.638
0.503 0.367 0.138
0.836 0.034 0.805
0.344 0.466 0.364
0.122 0.466 0.864
0.200 0.206 0.090
0.127 0.656 0.363
0.195 0.200 0.696
0.862 0.323 0.530
0.006 0.206 0.590
0.479 0.626 0.577
0.529 0.867 0.363
0.794 0.989 0.697
0.817 0.528 0.747
0.195 0.989 0.197
0.631 0.120 0.136
0.673 0.540 0.923
0.529 0.656 0.863
0.145 0.960 0.910
0.325 0.464 0.756
0.672 0.534 0.529
0.048 0.861 0.411
0.812 0.293 0.244
0.815 0.960 0.410
0.479 0.194 0.244
0.795 0.998 0.090
0.005 0.200 0.196
0.633 0.498 0.638
0.298 0.453 0.470
0.533 0.873 0.757
0.044 0.195 0.913
0.010 0.799 0.697
0.472 0.130 0.922
0.532 0.831 0.472
0.870 0.331 0.923
0.537 0.665 0.256
0.862 0.534 0.029
0.378 0.862 0.580
0.460 0.323 0.030
0.340 0.873 0.257
0.813 0.861 0.911
0.198 0.165 0.805
0.659 0.130 0.422
0.169 0.701 0.471
0.203 0.998 0.590
0.484 0.862 0.080
0.992 0.797 0.089
0.822 0.786 0.303
0.300 0.831 0.972
0.338 0.867 0.863
0.455 0.132 0.531
0.866 0.540 0.423
0.146 0.528 0.577
0.677 0.132 0.031
0.148 0.626 0.077
0.715 0.194 0.744
0.531 0.701 0.971
0.965 0.786 0.803
0.198 0.034 0.305
0.138 0.464 0.256
0.805 0.797 0.589
0.128 0.665 0.756
0.481 0.293 0.744
0.155 0.453 0.970
0.383 0.033 0.585
0.316 0.366 0.418
0.050 0.366 0.918
0.717 0.699 0.251
0.983 0.699 0.751
0.649 0.033 0.085
0.669 0.343 0.185
0.335 0.677 0.519
0.002 0.010 0.852
0.341 0.677 0.019
0.008 0.010 0.352
0.675 0.343 0.685
0.662 0.336 0.978
0.329 0.670 0.311
0.341 0.670 0.811
0.674 0.336 0.478
0.996 0.003 0.645
0.008 0.003 0.145
0.300 0.283 0.749
0.967 0.617 0.082
0.718 0.022 0.750
0.634 0.950 0.416
0.316 0.950 0.916
0.051 0.689 0.417
0.971 0.355 0.584
0.385 0.355 0.084
0.650 0.617 0.582
0.304 0.022 0.250
0.637 0.689 0.917
0.983 0.283 0.249


NaY2Ti2P3S3O24, relaxed, DFT PBE-GGA; E_form = -2.80 eV per atom; E_tot = -7.40 eV per atom; crystal system = triclinic
1.0
8.881 -0.010 -0.007
-4.449 7.686 -0.027
-0.017 -0.090 23.143
Y O S Ti Na P
6 72 9 6 3 9
direct
0.664 0.323 0.987
0.655 0.329 0.186
0.663 0.335 0.484
0.673 0.335 0.687
0.337 0.669 0.307
0.330 0.669 0.804
0.799 0.960 0.413
0.004 0.817 0.095
0.180 0.996 0.597
0.479 0.386 0.136
0.832 0.825 0.307
0.862 0.518 0.425
0.155 0.447 0.248
0.457 0.168 0.251
0.173 0.178 0.098
0.716 0.172 0.749
0.800 0.838 0.910
0.124 0.640 0.361
0.541 0.695 0.968
0.156 0.665 0.073
0.823 0.546 0.750
0.990 0.179 0.303
0.655 0.128 0.427
0.868 0.566 0.032
0.193 0.169 0.804
0.838 0.291 0.249
0.160 0.963 0.908
0.472 0.133 0.921
0.841 0.028 0.808
0.167 0.473 0.969
0.561 0.840 0.753
0.906 0.378 0.634
0.720 0.548 0.250
0.524 0.882 0.365
0.996 0.826 0.696
0.183 0.009 0.307
0.624 0.528 0.634
0.007 0.187 0.596
0.511 0.665 0.570
0.708 0.571 0.534
0.164 0.692 0.469
0.291 0.439 0.752
0.303 0.848 0.968
0.553 0.713 0.249
0.862 0.290 0.533
0.428 0.137 0.534
0.999 0.183 0.196
0.302 0.472 0.468
0.613 0.093 0.136
0.153 0.491 0.570
0.864 0.344 0.923
0.336 0.847 0.571
0.830 0.828 0.196
0.473 0.338 0.426
0.361 0.482 0.361
0.473 0.098 0.635
0.286 0.836 0.247
0.534 0.839 0.469
0.831 0.005 0.696
0.451 0.283 0.748
0.658 0.526 0.923
0.331 0.492 0.070
0.904 0.527 0.134
0.175 0.005 0.196
0.156 0.717 0.752
0.354 0.878 0.863
0.522 0.645 0.864
0.979 0.822 0.807
0.130 0.484 0.861
0.150 0.193 0.406
0.040 0.195 0.906
0.708 0.137 0.032
0.501 0.835 0.068
0.815 0.819 0.596
0.815 0.990 0.099
0.432 0.291 0.031
0.180 0.179 0.697
0.037 0.842 0.409
0.630 0.952 0.418
0.628 0.673 0.916
0.322 0.953 0.916
0.355 0.019 0.584
0.995 0.272 0.250
0.662 0.643 0.584
0.277 0.267 0.751
0.979 0.642 0.084
0.980 0.334 0.583
0.993 0.990 0.650
0.992 0.001 0.858
0.011 0.991 0.356
0.331 0.652 0.019
0.321 0.656 0.511
0.996 0.998 0.146
0.683 0.335 0.835
0.350 0.681 0.165
0.662 0.344 0.332
0.732 0.009 0.752
0.044 0.671 0.415
0.661 0.018 0.084
0.321 0.368 0.414
0.732 0.726 0.250
0.277 0.003 0.249
0.989 0.725 0.753
0.355 0.330 0.084
0.048 0.375 0.914


Na3Ti2Zn2P3S3O24, relaxed, DFT PBE-GGA; E_form = -2.47 eV per atom; E_tot = -6.61 eV per atom; crystal system = triclinic
1.0
8.735 0.005 0.013
-4.363 7.555 -0.014
0.034 -0.020 22.325
O Ti Zn P Na S
72 6 6 9 9 9
direct
0.149 0.455 0.969
0.438 0.293 0.023
0.522 0.833 0.757
0.802 0.976 0.410
0.820 0.780 0.306
0.867 0.502 0.419
0.167 0.688 0.756
0.520 0.688 0.258
0.844 0.559 0.028
0.317 0.855 0.971
0.545 0.686 0.973
0.496 0.150 0.635
0.171 0.972 0.199
0.149 0.691 0.470
0.496 0.133 0.916
0.510 0.860 0.362
0.544 0.855 0.471
0.167 0.478 0.256
0.839 0.320 0.238
0.481 0.321 0.739
0.633 0.504 0.916
0.345 0.860 0.861
0.793 0.824 0.193
0.700 0.145 0.029
0.029 0.828 0.696
0.975 0.814 0.096
0.230 0.040 0.311
0.136 0.486 0.861
0.652 0.134 0.138
0.499 0.348 0.135
0.141 0.647 0.082
0.134 0.486 0.582
0.168 0.197 0.699
0.177 0.979 0.912
0.315 0.463 0.471
0.802 0.828 0.911
0.511 0.642 0.583
0.515 0.864 0.082
0.679 0.160 0.738
0.312 0.480 0.757
0.633 0.130 0.417
0.957 0.773 0.807
0.831 0.021 0.091
0.439 0.142 0.523
0.801 0.969 0.696
0.029 0.199 0.196
0.312 0.832 0.257
0.496 0.364 0.417
0.229 0.190 0.810
0.974 0.167 0.593
0.855 0.300 0.529
0.817 0.044 0.807
0.354 0.858 0.583
0.186 0.024 0.595
0.177 0.199 0.412
0.364 0.499 0.082
0.839 0.517 0.737
0.677 0.518 0.239
0.959 0.185 0.308
0.655 0.516 0.638
0.864 0.349 0.638
0.831 0.808 0.593
0.135 0.648 0.362
0.508 0.654 0.864
0.703 0.557 0.529
0.858 0.509 0.139
0.186 0.164 0.095
0.345 0.486 0.362
0.026 0.825 0.411
0.867 0.364 0.918
0.026 0.199 0.910
0.482 0.161 0.239
0.014 0.006 0.152
0.669 0.342 0.186
0.658 0.324 0.687
0.332 0.662 0.309
0.008 0.000 0.652
0.333 0.671 0.808
0.995 0.001 0.344
0.666 0.334 0.486
0.993 0.994 0.843
0.335 0.673 0.521
0.317 0.659 0.022
0.672 0.338 0.987
0.298 0.003 0.253
0.709 0.709 0.250
0.996 0.291 0.251
0.371 0.327 0.082
0.959 0.629 0.085
0.371 0.041 0.582
0.995 0.703 0.751
0.711 0.002 0.750
0.294 0.293 0.752
0.332 0.296 0.917
0.682 0.336 0.833
0.988 0.000 0.499
0.002 0.997 0.998
0.334 0.671 0.662
0.665 0.694 0.081
0.331 0.036 0.417
0.317 0.661 0.164
0.681 0.345 0.333
0.333 0.379 0.417
0.626 0.672 0.917
0.672 0.045 0.084
0.040 0.376 0.915
0.334 0.956 0.916
0.626 0.955 0.416
0.672 0.628 0.585
0.041 0.663 0.416
0.957 0.328 0.585


NaTiZnPS2O12, relaxed, DFT PBE-GGA; E_form = -2.35 eV per atom; E_tot = -6.53 eV per atom; crystal system = monoclinic
1.0
-0.143 -3.820 7.764
-1.237 -4.689 -7.153
22.152 -3.744 -1.433
O S Ti Na Zn P
72 12 6 6 6 6
direct
0.516 0.878 0.361
0.359 0.860 0.578
0.120 0.638 0.362
0.698 0.529 0.244
0.518 0.638 0.862
0.453 0.146 0.529
0.831 0.529 0.744
0.986 0.182 0.590
0.156 0.697 0.470
0.828 0.810 0.589
0.030 0.815 0.696
0.487 0.352 0.422
0.637 0.500 0.639
0.198 0.030 0.305
0.793 0.974 0.694
0.490 0.125 0.637
0.692 0.538 0.526
0.823 0.793 0.303
0.540 0.697 0.970
0.872 0.362 0.637
0.635 0.125 0.137
0.785 0.815 0.196
0.302 0.837 0.972
0.197 0.021 0.591
0.833 0.304 0.244
0.815 0.973 0.409
0.852 0.305 0.530
0.302 0.460 0.470
0.024 0.211 0.196
0.495 0.147 0.925
0.031 0.196 0.911
0.693 0.146 0.029
0.030 0.835 0.410
0.824 0.021 0.091
0.490 0.362 0.137
0.501 0.860 0.078
0.865 0.352 0.922
0.453 0.305 0.030
0.165 0.196 0.411
0.863 0.513 0.423
0.970 0.793 0.803
0.207 0.175 0.804
0.528 0.680 0.257
0.156 0.468 0.257
0.317 0.839 0.256
0.366 0.504 0.078
0.492 0.635 0.576
0.471 0.304 0.744
0.832 0.030 0.805
0.863 0.500 0.139
0.157 0.460 0.970
0.362 0.878 0.861
0.846 0.538 0.026
0.652 0.147 0.425
0.152 0.680 0.757
0.982 0.810 0.089
0.969 0.175 0.304
0.195 0.182 0.090
0.186 0.211 0.696
0.158 0.973 0.909
0.182 0.974 0.194
0.805 0.835 0.910
0.522 0.839 0.756
0.480 0.176 0.242
0.696 0.176 0.742
0.356 0.481 0.362
0.312 0.468 0.757
0.650 0.513 0.923
0.142 0.635 0.076
0.125 0.481 0.862
0.535 0.837 0.472
0.138 0.504 0.578
0.333 0.378 0.415
0.000 0.709 0.749
0.622 0.666 0.916
0.044 0.378 0.915
0.960 0.336 0.582
0.044 0.666 0.416
0.374 0.043 0.583
0.001 0.290 0.249
0.709 0.709 0.249
0.375 0.336 0.082
0.289 0.290 0.749
0.668 0.043 0.083
0.006 0.001 0.353
0.667 0.334 0.686
0.320 0.676 0.020
0.667 0.334 0.186
0.995 0.001 0.853
0.355 0.676 0.520
0.664 0.327 0.337
0.339 0.671 0.670
0.662 0.327 0.837
0.001 0.994 0.003
0.993 0.994 0.503
0.331 0.671 0.170
0.005 0.993 0.149
0.988 0.993 0.649
0.337 0.679 0.316
0.669 0.334 0.482
0.665 0.334 0.982
0.342 0.679 0.816
0.672 0.622 0.582
0.951 0.622 0.082
0.334 0.964 0.914
0.708 0.999 0.748
0.291 0.999 0.248
0.629 0.964 0.414